A geometry-optimized MgFe4H4O8 structure. Source: the Materials Project database, functional PBE+U.

Values from the calculation:
- Excess energy over the best structure of this formula in the dataset: 0.0609 eV/atom
- Magnetization: 18.00 μB per cell
- Energy of formation from the pure elements: -1.52 eV per atom
- Raw total energy: -5.8780 eV per atom
- Symmetry: Pm, No. 6

Cell lengths 5.646, 3.066, 10.336 Å; angles 90.00, 90.50, 90.00 degrees
Element x y z (fractional)
Mg 0.000 0.000 0.000
Fe 0.324 0.000 0.194
Fe 0.532 0.500 0.451
Fe 0.535 0.500 0.866
Fe 0.820 0.000 0.665
H 0.201 0.000 0.807
H 0.229 0.500 0.647
H 0.719 0.500 0.181
H 0.953 0.000 0.423
O 0.061 0.500 0.671
O 0.095 0.500 0.123
O 0.286 0.000 0.890
O 0.325 0.000 0.371
O 0.556 0.500 0.146
O 0.581 0.500 0.653
O 0.774 0.000 0.862
O 0.795 0.000 0.462